# GGA+U LiMnSiO4, optimized geometry
# Size of the total moment   4.00 μB/f.u.
# Energy above the lowest structure with this stoichiometry   1 meV per atom
# DFT total energy   -7.191 eV/atom
# Calculated formation energy   -2.637 eV per atom
data_LiMnSiO4
_chemical_formula_sum 'Li4 Mn4 Si4 O16'
_space_group_name_H-M_alt 'P 1 21 1'
_space_group_IT_number 4
_cell_length_a 4.824
_cell_length_b 10.046
_cell_length_c 6.016
_cell_angle_alpha 90.00
_cell_angle_beta 90.09
_cell_angle_gamma 90.00
loop_
_space_group_symop_operation_xyz
'x,y,z'
'-x,y+1/2,-z'
loop_
_atom_site_label
_atom_site_type_symbol
_atom_site_fract_x
_atom_site_fract_y
_atom_site_fract_z
_atom_site_occupancy
Li1 Li 0.239 0.000 0.248 1
Li2 Li 0.251 0.017 0.743 1
Mn1 Mn 0.230 0.737 0.003 1
Mn2 Mn 0.268 0.285 0.497 1
Si1 Si 0.187 0.605 0.517 1
Si2 Si 0.317 0.417 0.017 1
O1 O 0.021 0.686 0.315 1
O2 O 0.021 0.906 0.992 1
O3 O 0.035 0.670 0.740 1
O4 O 0.066 0.451 0.505 1
O5 O 0.433 0.572 0.021 1
O6 O 0.469 0.347 0.236 1
O7 O 0.475 0.114 0.489 1
O8 O 0.482 0.342 0.809 1